Material: MgV4O7F5
Method: DFT, PBE with a Hubbard U
State: optimized geometry

Output
Polymorph energy (0 for the lowest one)   0.0492 eV/atom
Final energy   -113.68 eV/f.u.

Cell lengths 5.0123, 5.4973, 9.0910 Å; angles 71.19, 89.68, 61.85 degrees
Closest atoms and distances in Å follow each position.
Fractional coordinates of all 17 atoms:
O  0.4070  0.7700  0.0648  1 V 1.70
O  0.5575  0.2500  0.9154  1 V 1.69
O  0.9173  0.7602  0.1875  2 V 1.90-1.93, 1 Mg 2.03
O  0.5850  0.2898  0.3347  1 V 1.75
O  0.4123  0.7391  0.6799  1 V 1.70
O  0.9238  0.7477  0.5620  1 V 1.82, 1 Mg 2.04
O  0.1136  0.2567  0.4191  2 V 1.80-1.99
F  0.0507  0.2747  0.8147  2 V 2.01-2.02
F  0.4679  0.2743  0.6218  2 V 2.05-2.06, 1 Mg 2.19
F  0.0014  0.7495  0.8736  2 V 1.91-2.06
F  0.9754  0.2591  0.1147  2 V 1.94-1.99
F  0.4843  0.7641  0.3744  1 Mg 2.01, 2 V 2.06-2.19
V  0.7599  0.4947  0.2404  2 O 1.75-1.90, 1 F 1.94
V  0.5100  0.9926  0.5090  3 O 1.80-1.96
V  0.0188  0.9820  0.0072  1 O 1.70
V  0.2674  0.5131  0.7645  2 O 1.69-1.70
Mg  0.1790  0.6198  0.3985  2 F 2.01-2.19, 4 O 2.03-2.23